[1]
{
  "formula": "ZrScB4",
  "functional": "PBE",
  "state": "optimized geometry",
  "dft_energy_ev_per_atom": -6.880,
  "delta_e_f_kcal_per_mol_atoms": 1.22,
  "lattice_angstrom": [[0.0000, 3.1627, 3.1627], [3.1627, 0.0000, 3.1627], [3.1627, 3.1627, 0.0000]],
  "species": ["Zr", "Sc", "B", "B", "B", "B"],
  "frac_coords": [[0.0000, 0.0000, 0.0000], [0.2500, 0.2500, 0.2500], [0.1953, 0.6016, 0.6016], [0.6016, 0.1953, 0.6016], [0.6016, 0.6016, 0.1953], [0.6016, 0.6016, 0.6016]]
}

[2]
{
  "formula": "Sn2BSe",
  "functional": "PBE",
  "state": "optimized geometry",
  "dft_energy_ev_per_atom": -3.704,
  "energy_corrected_mp2020_ev_per_cell": -15.3,
  "delta_e_f_kcal_per_mol_atoms": 16.76,
  "lattice_angstrom": [[0.0000, 3.4762, 3.4762], [3.4762, 0.0000, 3.4762], [3.4762, 3.4762, 0.0000]],
  "species": ["Sn", "Sn", "B", "Se"],
  "frac_coords": [[0.2500, 0.2500, 0.2500], [0.7500, 0.7500, 0.7500], [0.0000, 0.0000, 0.0000], [0.5000, 0.5000, 0.5000]]
}

[3]
{
  "formula": "Tl3BSe3",
  "functional": "PBE",
  "state": "optimized geometry",
  "dft_energy_ev_per_atom": -3.783,
  "energy_corrected_mp2020_ev_per_cell": -55.8,
  "delta_e_f_kcal_per_mol_atoms": -12.01,
  "lattice_angstrom": [[5.8652, 0.0000, 0.0000], [0.0000, 10.4713, 0.0000], [-0.9052, 0.0000, 6.8599]],
  "species": ["Tl", "Tl", "Tl", "Tl", "Tl", "Tl", "B", "B", "Se", "Se", "Se", "Se", "Se", "Se"],
  "frac_coords": [[0.1776, 0.2500, 0.0031], [0.2807, 0.5494, 0.6651], [0.2807, 0.9506, 0.6651], [0.7193, 0.0494, 0.3349], [0.7193, 0.4506, 0.3349], [0.8224, 0.7500, 0.9969], [0.3869, 0.7500, 0.2613], [0.6131, 0.2500, 0.7387], [0.2457, 0.5862, 0.1712], [0.2457, 0.9138, 0.1712], [0.3276, 0.2500, 0.5533], [0.6724, 0.7500, 0.4467], [0.7543, 0.0862, 0.8288], [0.7543, 0.4138, 0.8288]]
}

[4]
{
  "formula": "Tl3B3Se10",
  "functional": "PBE",
  "state": "optimized geometry",
  "dft_energy_ev_per_atom": -4.109,
  "energy_corrected_mp2020_ev_per_cell": -140.9,
  "delta_e_f_kcal_per_mol_atoms": -12.07,
  "lattice_angstrom": [[7.3112, 0.0000, 0.0000], [-0.5043, 8.3040, 0.0000], [-1.2185, -3.6671, 14.3512]],
  "species": ["Tl", "Tl", "Tl", "Tl", "Tl", "Tl", "B", "B", "B", "B", "B", "B", "Se", "Se", "Se", "Se", "Se", "Se", "Se", "Se", "Se", "Se", "Se", "Se", "Se", "Se", "Se", "Se", "Se", "Se", "Se", "Se"],
  "frac_coords": [[0.0141, 0.3788, 0.2954], [0.2664, 0.9485, 0.3459], [0.3246, 0.6825, 0.9790], [0.6754, 0.3175, 0.0210], [0.7336, 0.0515, 0.6541], [0.9859, 0.6212, 0.7046], [0.1060, 0.1209, 0.9153], [0.2612, 0.2131, 0.7395], [0.3629, 0.4141, 0.5896], [0.6371, 0.5859, 0.4104], [0.7388, 0.7869, 0.2605], [0.8940, 0.8791, 0.0847], [0.0701, 0.2904, 0.8347], [0.1404, 0.0188, 0.1281], [0.1406, 0.2486, 0.0527], [0.1643, 0.2400, 0.6096], [0.2239, 0.5591, 0.5164], [0.2991, 0.9646, 0.7248], [0.3413, 0.0013, 0.8903], [0.4685, 0.7426, 0.4861], [0.4775, 0.5632, 0.7150], [0.4801, 0.6631, 0.2155], [0.5199, 0.3369, 0.7845], [0.5225, 0.4368, 0.2850], [0.5315, 0.2574, 0.5139], [0.6587, 0.9987, 0.1097], [0.7009, 0.0354, 0.2752], [0.7761, 0.4409, 0.4836], [0.8357, 0.7600, 0.3904], [0.8594, 0.7514, 0.9473], [0.8596, 0.9812, 0.8719], [0.9299, 0.7096, 0.1653]]
}

[5]
{
  "formula": "Si3B",
  "functional": "PBE",
  "state": "optimized geometry",
  "dft_energy_ev_per_atom": -4.829,
  "delta_e_f_kcal_per_mol_atoms": 20.98,
  "polymorph_energy_mev_per_atom": 0,
  "lattice_angstrom": [[5.0128, 0.0000, 0.0000], [-2.5064, 4.3412, 0.0000], [0.0000, 0.0000, 4.4532]],
  "species": ["Si", "Si", "Si", "Si", "Si", "Si", "B", "B"],
  "frac_coords": [[0.1691, 0.3383, 0.2500], [0.1691, 0.8309, 0.2500], [0.3383, 0.1691, 0.7500], [0.6617, 0.8309, 0.2500], [0.8309, 0.1691, 0.7500], [0.8309, 0.6617, 0.7500], [0.3333, 0.6667, 0.7500], [0.6667, 0.3333, 0.2500]]
}

[6]
{
  "formula": "Si3B",
  "functional": "PBE",
  "state": "optimized geometry",
  "dft_energy_ev_per_atom": -4.779,
  "delta_e_f_kcal_per_mol_atoms": 22.14,
  "polymorph_energy_mev_per_atom": 50,
  "lattice_angstrom": [[3.6478, 0.0000, 0.0000], [0.0000, 3.6478, 0.0000], [0.0000, 0.0000, 3.6478]],
  "species": ["Si", "Si", "Si", "B"],
  "frac_coords": [[0.0000, 0.0000, 0.5000], [0.0000, 0.5000, 0.0000], [0.5000, 0.0000, 0.0000], [0.5000, 0.5000, 0.5000]]
}